DFT (PBE) results for a geometry-optimized Dy2Mo2C3 structure.

CIF file:
```
data_Dy2Mo2C3
_chemical_formula_sum 'Dy4 Mo4 C6'
_cell_length_a 11.768
_cell_length_b 3.351
_cell_length_c 5.733
_cell_angle_alpha 90.00
_cell_angle_beta 112.46
_cell_angle_gamma 90.00
_space_group_name_H-M_alt 'C 1 2/m 1'
_space_group_IT_number 12
loop_
_space_group_symop_operation_xyz
'x,y,z'
'-x,-y,-z'
'-x,y,-z'
'x,-y,z'
'x+1/2,y+1/2,z'
'-x+1/2,-y+1/2,-z'
'-x+1/2,y+1/2,-z'
'x+1/2,-y+1/2,z'
loop_
_atom_site_label
_atom_site_fract_x
_atom_site_fract_y
_atom_site_fract_z
_atom_site_occupancy
Dy1 0.110 0.000 0.325 1
Mo1 0.157 0.500 0.827 1
C1 0.000 0.500 0.500 1
C2 0.249 0.500 0.234 1
```

Output
calculated formation energy = -350 meV/atom